Entry i
The following is a DFT calculation (PBE+U) of a geometry-optimized LiNiBO3 structure.

Magnetization, μB/cell: 0.0

Cell and atoms, written as POSCAR:
```
LiNiBO3
1.0
0.0000 0.0002 6.1239
4.0381 6.9939 0.0002
-4.0385 6.9939 0.0002
Li Ni B O
6 6 6 18
Direct
0.2501 0.2745 0.7009
0.7499 0.2745 0.7009
0.2501 0.0248 0.2745
0.7500 0.0248 0.2745
0.2502 0.7006 0.0249
0.7499 0.7007 0.0249
0.9999 0.6349 0.3806
0.5001 0.6351 0.3809
0.4998 0.9843 0.6349
0.9999 0.3807 0.9846
0.5000 0.3806 0.9844
0.0001 0.9846 0.6347
0.2506 0.3334 0.3333
0.7494 0.3333 0.3333
0.0000 0.0000 0.0000
0.5000 0.0000 0.0000
0.2499 0.6667 0.6667
0.7501 0.6667 0.6667
0.0000 0.1014 0.8015
0.5000 0.1014 0.8015
0.0000 0.0971 0.1014
0.5000 0.0971 0.1014
0.0000 0.8014 0.0972
0.5000 0.8015 0.0972
0.2502 0.1363 0.4488
0.7498 0.1363 0.4489
0.2509 0.4493 0.4143
0.7491 0.4493 0.4143
0.2509 0.4143 0.1363
0.7492 0.4144 0.1363
0.2500 0.4682 0.7805
0.7501 0.4682 0.7804
0.2500 0.7804 0.7514
0.7500 0.7804 0.7514
0.2499 0.7514 0.4683
0.7500 0.7514 0.4683
```



Entry ii
The following is a DFT calculation (PBE+U) of a geometry-optimized LiNiBO3 structure.

Magnetization, μB/cell: 18.0

Cell and atoms, written as POSCAR:
```
LiNiBO3
1.0
-0.8165 1.8628 -2.3729
-11.8298 3.6532 6.7121
-0.0401 11.1514 8.6058
Li Ni B O
9 9 9 27
Direct
0.4940 0.0983 0.1263
0.5125 0.1078 0.4355
0.4468 0.4557 0.1083
0.4796 0.1282 0.7724
0.5463 0.4357 0.4558
0.4944 0.4414 0.7536
0.5210 0.7736 0.0983
0.5238 0.8046 0.4423
0.4893 0.7526 0.8056
0.9396 0.2502 0.2016
0.9995 0.2002 0.5483
0.0038 0.2129 0.9044
0.0492 0.5479 0.2504
0.0461 0.5812 0.5373
0.9516 0.5360 0.8826
0.0324 0.8815 0.2133
0.0037 0.8823 0.5805
0.9682 0.9046 0.8822
0.9883 0.0046 0.3356
0.0008 0.3331 0.3332
0.9982 0.3356 0.6590
0.0046 0.6586 0.0053
0.4651 0.3309 0.9924
0.5460 0.6756 0.3319
0.0124 0.6658 0.6675
0.9938 0.9997 0.0000
0.4853 0.9915 0.6765
0.9916 0.0294 0.0802
0.0216 0.0083 0.4321
0.8954 0.0994 0.2371
0.4381 0.3160 0.0966
0.5008 0.0954 0.5868
0.0036 0.2206 0.3969
0.9374 0.3816 0.2219
0.9550 0.0793 0.8907
0.9633 0.5588 0.0089
0.9221 0.2361 0.6629
0.0615 0.3966 0.3810
0.1099 0.6621 0.0997
0.0316 0.3375 0.7561
0.0364 0.4320 0.5593
0.5030 0.2414 0.9773
0.5477 0.5859 0.3172
0.5486 0.6607 0.4366
0.4548 0.4357 0.9027
0.0356 0.8904 0.0293
0.5376 0.7801 0.2419
0.9462 0.5615 0.6841
0.0445 0.6822 0.7561
0.0454 0.7536 0.5617
0.0396 0.9054 0.3380
0.9474 0.7557 0.9072
0.4941 0.9014 0.6617
0.4652 0.9774 0.7808
```



Which of them is the most stable? Correct choice: entry i.



Entry i
The following is a DFT calculation (PBE+U) of a geometry-optimized Li2MnP4O12 structure.

Magnetization, μB/cell: 5.0

Cell and atoms, written as POSCAR:
```
Li2MnP4O12
1.0
-5.0007 0.0000 0.0000
2.1968 6.7656 0.0000
-0.8181 -2.9290 -6.8928
Li Mn P O
2 1 4 12
Direct
0.9650 0.2597 0.4499
0.0350 0.7403 0.5501
0.0000 0.0000 0.0000
0.5632 0.1944 0.7886
0.4346 0.6006 0.7822
0.4368 0.8056 0.2114
0.5654 0.3994 0.2178
0.7245 0.7516 0.7826
0.7857 0.1436 0.6469
0.7063 0.2987 0.0068
0.2937 0.7013 0.9932
0.7037 0.9814 0.2140
0.2143 0.8564 0.3531
0.2232 0.5442 0.6300
0.2755 0.2484 0.2174
0.4652 0.3861 0.7851
0.5348 0.6139 0.2149
0.7768 0.4558 0.3700
0.2963 0.0186 0.7860
```



Entry ii
The following is a DFT calculation (PBE+U) of a geometry-optimized Li2MnP4O12 structure.

Magnetization, μB/cell: 20.0

Cell and atoms, written as POSCAR:
```
Li2MnP4O12
1.0
-3.5605 6.2337 -8.5215
-5.2732 -5.0966 -1.5250
-10.5597 3.6283 7.0664
Li Mn P O
8 4 16 48
Direct
0.9030 0.6285 0.2623
0.4030 0.3715 0.2377
0.0569 0.3368 0.4694
0.5569 0.6632 0.0306
0.4431 0.3368 0.9694
0.9431 0.6632 0.5306
0.5970 0.6285 0.7623
0.0970 0.3715 0.7377
0.7404 0.0297 0.6677
0.2404 0.9703 0.8323
0.7596 0.0297 0.1677
0.2596 0.9703 0.3323
0.2750 0.9630 0.0816
0.6162 0.6312 0.2982
0.2547 0.5979 0.0241
0.7547 0.4021 0.4759
0.7250 0.0370 0.9184
0.1162 0.3688 0.2018
0.9554 0.9909 0.8235
0.4554 0.0091 0.6765
0.7750 0.0370 0.4184
0.2250 0.9630 0.5816
0.5446 0.9909 0.3235
0.0446 0.0091 0.1765
0.8838 0.6312 0.7982
0.2453 0.5979 0.5241
0.7453 0.4021 0.9759
0.3838 0.3688 0.7018
0.2419 0.7506 0.0883
0.6469 0.5355 0.4214
0.5477 0.5091 0.2462
0.8768 0.4969 0.4481
0.7255 0.3254 0.5894
0.3768 0.5031 0.0519
0.2684 0.2809 0.7531
0.4774 0.2172 0.6840
0.0477 0.4909 0.2538
0.6598 0.0360 0.8203
0.3309 0.0568 0.9762
0.1469 0.4645 0.0786
0.7419 0.2494 0.4117
0.0684 0.0612 0.8618
0.8580 0.9521 0.9178
0.9044 0.1058 0.7221
0.4044 0.8942 0.7779
0.7745 0.3254 0.0894
0.3580 0.0479 0.5822
0.5684 0.9388 0.6382
0.2316 0.2809 0.2531
0.0226 0.2172 0.1840
0.8309 0.9432 0.5238
0.1598 0.9640 0.6797
0.8402 0.0360 0.3203
0.1691 0.0568 0.4762
0.9774 0.7828 0.8160
0.7684 0.7191 0.7469
0.4316 0.0612 0.3618
0.6420 0.9521 0.4178
0.2255 0.6746 0.9106
0.5956 0.1058 0.2221
0.0956 0.8942 0.2779
0.1420 0.0479 0.0822
0.9316 0.9388 0.1382
0.2581 0.7506 0.5883
0.8531 0.5355 0.9214
0.6691 0.9432 0.0238
0.3402 0.9640 0.1797
0.9523 0.5091 0.7462
0.5226 0.7828 0.3160
0.7316 0.7191 0.2469
0.6232 0.4969 0.9481
0.2745 0.6746 0.4106
0.1232 0.5031 0.5519
0.4523 0.4909 0.7538
0.3531 0.4645 0.5786
0.7581 0.2494 0.9117
```



Which of them is the most stable? Correct choice: entry i.